No. 1
Compound: Li2CaSi2N4
Source: the Materials Project database
Functional: PBE-GGA
Structure: relaxed

Computed properties:
The energy relative to the elements is -1264 meV/atom. The magnetic moment comes out at 0.00 μB/atom.

```
data_Li2CaSi2N4
_chemical_formula_sum 'Li24 Ca12 Si24 N48'
_cell_length_a 10.6383
_cell_length_b 10.6383
_cell_length_c 10.6383
_cell_angle_alpha 90.00
_cell_angle_beta 90.00
_cell_angle_gamma 90.00
_symmetry_space_group_name_H-M 'P a -3'
_symmetry_Int_Tables_number 205
_symmetry_space_group_name_Hall '-P 2ac 2ab 3'
loop_
_atom_site_label
_atom_site_type_symbol
_atom_site_fract_x
_atom_site_fract_y
_atom_site_fract_z
Li1 Li 0.0476 0.1137 0.7218
Ca1 Ca 0.0000 0.0000 0.0000
Ca2 Ca 0.2050 0.7050 0.7950
Si1 Si 0.0154 0.1275 0.2484
N1 N 0.0038 0.7188 0.3904
N2 N 0.0787 0.2243 0.3622
```



No. 2
Compound: Dy2In16Pt7
Source: the Materials Project database
Functional: PBE-GGA
Structure: relaxed

Computed properties:
The energy relative to the elements is -506 meV/atom. The magnetic moment comes out at 0.00 μB/atom.

```
data_Dy2In16Pt7
_chemical_formula_sum 'Dy4 In32 Pt14'
_cell_length_a 12.3727
_cell_length_b 20.4394
_cell_length_c 4.4365
_cell_angle_alpha 90.00
_cell_angle_beta 90.00
_cell_angle_gamma 90.00
_symmetry_space_group_name_H-M 'C m m m'
_symmetry_Int_Tables_number 65
_symmetry_space_group_name_Hall '-C 2 2'
loop_
_atom_site_label
_atom_site_type_symbol
_atom_site_fract_x
_atom_site_fract_y
_atom_site_fract_z
Dy1 Dy 0.1713 0.0000 0.0000
In1 In 0.0000 0.0730 0.5000
In2 In 0.1243 0.1630 0.0000
In3 In 0.1299 0.3872 0.0000
In4 In 0.1321 0.5000 0.5000
In5 In 0.1362 0.2773 0.5000
Pt1 Pt 0.0000 0.2760 0.0000
Pt2 Pt 0.0000 0.5000 0.0000
Pt3 Pt 0.2235 0.1072 0.5000
```



No. 3
Compound: TbBRh3
Source: the Materials Project database
Functional: PBE-GGA
Structure: relaxed

Computed properties:
The energy relative to the elements is -786 meV/atom.

```
data_TbBRh3
_chemical_formula_sum 'Tb1 B1 Rh3'
_cell_length_a 4.2153
_cell_length_b 4.2153
_cell_length_c 4.2153
_cell_angle_alpha 90.00
_cell_angle_beta 90.00
_cell_angle_gamma 90.00
_symmetry_space_group_name_H-M 'P m -3 m'
_symmetry_Int_Tables_number 221
_symmetry_space_group_name_Hall '-P 4 2 3'
loop_
_atom_site_label
_atom_site_type_symbol
_atom_site_fract_x
_atom_site_fract_y
_atom_site_fract_z
Tb1 Tb 0.0000 0.0000 0.0000
B1 B 0.5000 0.5000 0.5000
Rh1 Rh 0.0000 0.5000 0.5000
```